[1]
Entry from the Materials Project database: a relaxed structure of TiSiOs (meta-GGA r2SCAN).

## Properties
ΔE_f = -853 meV per atom
density = 10.3 g/cm3

a = 7.3671 Å, b = 7.3671 Å, c = 7.3671 Å
α = 127.87°, β = 122.41°, γ = 81.38°
Last column: nearest neighbours and their distance in Å.
Atoms (fractional coordinates):
Ti1 0.4461 0.4020 0.4559  5 Si 2.61-2.90, 6 Os 2.73-2.84
Ti2 0.5539 0.0098 0.9559  5 Si 2.61-2.90, 6 Os 2.73-2.84
Ti3 0.0262 0.0071 0.4809  5 Si 2.62-2.64, 2 Os 2.79
Ti4 0.9738 0.4548 0.9809  5 Si 2.62-2.64, 2 Os 2.79
Ti5 0.2465 0.5797 0.8332  5 Si 2.62-2.67, 4 Os 2.77-2.83
Ti6 0.7535 0.5867 0.3332  5 Si 2.62-2.67, 4 Os 2.77-2.83
Si1 0.2181 0.9610 0.2429  6 Os 2.41-2.48, 2 Ti 2.64-2.67
Si2 0.7819 0.0248 0.7429  6 Os 2.41-2.48, 2 Ti 2.64-2.67
Si3 0.1744 0.6719 0.5117  3 Os 2.45-2.47, 6 Ti 2.61-2.65
Si4 0.8256 0.3373 0.4975  3 Os 2.45-2.47, 6 Ti 2.61-2.65
Si5 0.6602 0.6719 0.9975  3 Os 2.45-2.47, 6 Ti 2.61-2.65
Si6 0.3398 0.3373 0.0117  3 Os 2.45-2.47, 6 Ti 2.61-2.65
Os1 0.0000 0.2552 0.2552  4 Si 2.47-2.48
Os2 0.5000 0.2552 0.7552  4 Si 2.47-2.48
Os3 0.4084 0.7488 0.4113  4 Si 2.41-2.46
Os4 0.5916 0.0029 0.3404  4 Si 2.41-2.46
Os5 0.8375 0.7488 0.8404  4 Si 2.41-2.46
Os6 0.1625 0.0029 0.9113  4 Si 2.41-2.46



[2]
Entry from the Materials Project database: a relaxed structure of Cs2WO2F4 (meta-GGA r2SCAN).

## Properties
ΔE_f = -2726 meV per atom
density = 5.4 g/cm3

a = 6.3426 Å, b = 6.3426 Å, c = 4.9703 Å
α = 88.79°, β = 88.79°, γ = 58.62°
Last column: nearest neighbours and their distance in Å.
Atoms (fractional coordinates):
Cs1 0.3250 0.3250 0.3040  8 F 3.16-3.35, 4 O 3.17-3.24
Cs2 0.6750 0.6750 0.6960  8 F 3.16-3.35, 4 O 3.17-3.24
W1 0.0000 0.0000 0.0000  2 O 1.82, 4 F 1.94
O1 0.1412 0.1412 0.8057  1 W 1.82
O2 0.8588 0.8588 0.1943  1 W 1.82
F1 0.7107 0.1597 0.7738  1 W 1.94
F2 0.1597 0.7107 0.7738  1 W 1.94
F3 0.2893 0.8403 0.2262  1 W 1.94
F4 0.8403 0.2893 0.2262  1 W 1.94



[3]
Entry from the Materials Project database: a relaxed structure of UTaC2 (meta-GGA r2SCAN).

## Properties
ΔE_f = -581 meV per atom
density = 14.4 g/cm3

a = 5.9220 Å, b = 5.9220 Å, c = 5.9220 Å
α = 31.73°, β = 31.73°, γ = 31.73°
Last column: nearest neighbours and their distance in Å.
Atoms (fractional coordinates):
U1 0.5000 0.5000 0.5000  6 C 2.43
Ta1 0.0000 0.0000 0.0000  6 C 2.26
C1 0.7416 0.7416 0.7416  3 Ta 2.26, 3 U 2.43
C2 0.2584 0.2584 0.2584  3 Ta 2.26, 3 U 2.43



Question: Which formula does entry 3 have?
Answer: UTaC2



Question: Look up the ΔE_f of the third one.
Answer: -581 meV per atom



Question: Among the records above, which one has the lowest ΔE_f?
Answer: Cs2WO2F4



Question: Look up the ΔE_f of the third one.
Answer: -581 meV per atom